Ba3Sm | PBE-GGA | optimized geometry

Computed properties:
Its energy relative to the lowest polymorph listed for this composition is 0.35 kJ/mol of atoms. The value obtained for the magnetization is 0.16 μB/cell. Its formation energy from the elements is 0.20 eV per atom. The space-group type is Pm-3m.

abc: 5.9657 5.9657 5.9657
angles: 90.00 90.00 90.00
Last column: nearest neighbours and their distance in Å.
Element x y z (fractional)
Sm 0.0000 0.0000 0.0000  12 Ba 4.22
Ba 0.0000 0.5000 0.5000  8 Ba 4.22, 4 Sm 4.22
Ba 0.5000 0.0000 0.5000  8 Ba 4.22, 4 Sm 4.22
Ba 0.5000 0.5000 0.0000  8 Ba 4.22, 4 Sm 4.22